# 1
Here is crystalline Y2MgNi2 at its relaxed geometry from Materials Project. Energies are from PBE.

Its volume is 203 Å³ per cell. The calculation puts the formation energy at -0.372 eV per atom. The space group is P4/mbm.

a = 7.366 Å, b = 7.366 Å, c = 3.739 Å
α = 90.00°, β = 90.00°, γ = 90.00°
Fractional coordinates of all 10 atoms:
Y (0.173, 0.327, 0.000)
Y (0.327, 0.827, 0.000)
Y (0.673, 0.173, 0.000)
Y (0.827, 0.673, 0.000)
Mg (0.000, 0.000, 0.500)
Mg (0.500, 0.500, 0.500)
Ni (0.120, 0.620, 0.500)
Ni (0.380, 0.120, 0.500)
Ni (0.620, 0.880, 0.500)
Ni (0.880, 0.380, 0.500)

# 2
Here is crystalline YMg6Ni at its relaxed geometry from Materials Project. Energies are from PBE.

The value obtained for the relative energy among the computed polymorphs is 0 meV per atom. Its volume is 354 Å³ per cell. The calculation puts the formation energy at 0.015 eV per atom.

a = 4.916 Å, b = 5.913 Å, c = 12.173 Å
α = 90.00°, β = 90.00°, γ = 90.00°
Fractional coordinates of all 16 atoms:
Mg (0.000, 0.744, 0.080)
Mg (0.000, 0.256, 0.080)
Mg (0.500, 0.753, 0.438)
Mg (0.500, 0.253, 0.938)
Mg (0.000, 0.000, 0.347)
Mg (0.000, 0.000, 0.796)
Mg (0.000, 0.756, 0.580)
Mg (0.500, 0.747, 0.938)
Mg (0.500, 0.247, 0.438)
Mg (0.000, 0.244, 0.580)
Mg (0.000, 0.500, 0.296)
Mg (0.000, 0.500, 0.847)
Y (0.500, 0.500, 0.689)
Y (0.500, 0.000, 0.189)
Ni (0.500, 0.500, 0.132)
Ni (0.500, 0.000, 0.632)

# 3
Here is crystalline YMg14Ni at its relaxed geometry from Materials Project. Energies are from PBE.

The value obtained for the relative energy among the computed polymorphs is 0 meV per atom. Its volume is 361 Å³ per cell. The calculation puts the formation energy at 0.005 eV per atom. The space group is Amm2.

a = 10.218 Å, b = 6.491 Å, c = 6.491 Å
α = 56.97°, β = 90.00°, γ = 90.00°
Fractional coordinates of all 16 atoms:
Y (0.000, 0.000, 0.000)
Mg (0.000, 0.018, 0.489)
Mg (0.000, 0.489, 0.018)
Mg (0.215, 0.630, 0.630)
Mg (0.248, 0.149, 0.642)
Mg (0.248, 0.642, 0.149)
Mg (0.262, 0.149, 0.149)
Mg (0.500, 0.485, 0.485)
Mg (0.500, 0.488, 0.979)
Mg (0.500, 0.979, 0.488)
Mg (0.500, 0.981, 0.981)
Mg (0.738, 0.149, 0.149)
Mg (0.752, 0.149, 0.642)
Mg (0.752, 0.642, 0.149)
Mg (0.785, 0.630, 0.630)
Ni (0.000, 0.466, 0.466)